! Ba3ZnN2O GGA-PBE optimized geometry; values from VASP
&SYSTEM
  ibrav = 0, nat = 7, ntyp = 4
/
ATOMIC_SPECIES
Ba 137.33 Ba.upf
O 16.00 O.upf
Zn 65.41 Zn.upf
N 14.01 N.upf
CELL_PARAMETERS angstrom
4.150 0.000 0.000
0.000 4.150 0.000
0.000 0.000 9.293
ATOMIC_POSITIONS angstrom
Ba 2.075 2.075 4.646
Ba 0.000 0.000 7.268
Ba 0.000 0.000 2.025
O 0.000 0.000 4.646
Zn 2.075 2.075 0.000
N 2.075 2.075 1.854
N 2.075 2.075 7.439
! ΔE_f (eV per atom): -1.10
! ρ (g cm⁻³): 5.41